# P4PtBrO10, optimized geometry, DFT PBE
data_P4PtBrO10
_cell_length_a 15.294
_cell_length_b 17.484
_cell_length_c 22.273
_cell_angle_alpha 90.00
_cell_angle_beta 129.10
_cell_angle_gamma 90.00
_space_group_name_H-M_alt 'P 1 21/c 1'
_space_group_IT_number 14
_space_group_name_Hall '-P 2ybc'
loop_
_atom_site_label
_atom_site_type_symbol
_atom_site_fract_x
_atom_site_fract_y
_atom_site_fract_z
P1 P 0.023 0.193 0.081
P2 P 0.118 0.561 0.442
P3 P 0.129 0.612 0.654
P4 P 0.312 0.506 0.690
Pt1 Pt 0.029 0.033 0.963
Br1 Br 0.170 0.126 0.034
O1 O 0.004 0.239 0.537
O2 O 0.021 0.536 0.360
O3 O 0.073 0.617 0.689
O4 O 0.091 0.641 0.466
O5 O 0.118 0.162 0.157
O6 O 0.153 0.670 0.618
O7 O 0.209 0.536 0.687
O8 O 0.240 0.548 0.491
O9 O 0.347 0.560 0.658
O10 O 0.348 0.070 0.225
# Formation energy in meV per atom: -1646.8
# Total magnetic moment in Bohr magnetons per cell: 3.48
# E in eV per atom: -6.14



# Sr5P3BrO12, optimized geometry, DFT PBE
data_Sr5P3BrO12
_cell_length_a 10.1235
_cell_length_b 10.1235
_cell_length_c 7.2631
_cell_angle_alpha 90.00
_cell_angle_beta 90.00
_cell_angle_gamma 120.00
_space_group_name_H-M_alt 'P 63/m'
_space_group_IT_number 176
_space_group_name_Hall '-P 6c'
loop_
_atom_site_label
_atom_site_type_symbol
_atom_site_fract_x
_atom_site_fract_y
_atom_site_fract_z
Sr1 Sr 0.0027 0.2614 0.2500
Sr2 Sr 0.3333 0.6667 0.0014
P1 P 0.0353 0.4081 0.7500
Br1 Br 0.0000 0.0000 0.0000
O1 O 0.0885 0.3577 0.5762
O2 O 0.1231 0.5869 0.7500
O3 O 0.1407 0.6574 0.2500
# Formation energy in meV per atom: -3269.9
# Total magnetic moment in Bohr magnetons per cell: 0.00
# E in eV per atom: -6.96



# PbBrO, optimized geometry, DFT PBE
data_PbBrO
_cell_length_a 7.173
_cell_length_b 3.967
_cell_length_c 9.785
_cell_angle_alpha 90.00
_cell_angle_beta 90.00
_cell_angle_gamma 90.00
_space_group_name_H-M_alt 'P n m a'
_space_group_IT_number 62
_space_group_name_Hall '-P 2ac 2n'
loop_
_atom_site_label
_atom_site_type_symbol
_atom_site_fract_x
_atom_site_fract_y
_atom_site_fract_z
Pb1 Pb 0.185 0.250 0.071
Br1 Br 0.039 0.750 0.326
O1 O 0.124 0.750 0.969
# Formation energy in meV per atom: -875.9
# Total magnetic moment in Bohr magnetons per cell: 0.00
# E in eV per atom: -4.08



# Pb13Br6O10, optimized geometry, DFT PBE
data_Pb13Br6O10
_cell_length_a 16.795
_cell_length_b 7.373
_cell_length_c 24.509
_cell_angle_alpha 90.00
_cell_angle_beta 98.74
_cell_angle_gamma 90.00
_space_group_name_H-M_alt 'C 1 2/c 1'
_space_group_IT_number 15
_space_group_name_Hall '-C 2yc'
loop_
_atom_site_label
_atom_site_type_symbol
_atom_site_fract_x
_atom_site_fract_y
_atom_site_fract_z
Pb1 Pb 0.000 0.223 0.250
Pb2 Pb 0.049 0.237 0.012
Pb3 Pb 0.084 0.073 0.633
Pb4 Pb 0.104 0.214 0.792
Pb5 Pb 0.133 0.076 0.417
Pb6 Pb 0.177 0.434 0.151
Pb7 Pb 0.235 0.395 0.939
Br1 Br 0.030 0.476 0.867
Br2 Br 0.160 0.340 0.540
Br3 Br 0.188 0.182 0.253
O1 O 0.009 0.006 0.941
O2 O 0.025 0.004 0.317
O3 O 0.142 0.188 0.099
O4 O 0.171 0.154 0.981
O5 O 0.195 0.146 0.864
# Formation energy in meV per atom: -1360.5
# E in eV per atom: -4.83



# PbBr2O7, optimized geometry, DFT PBE
data_PbBr2O7
_cell_length_a 12.281
_cell_length_b 7.980
_cell_length_c 8.674
_cell_angle_alpha 90.00
_cell_angle_beta 129.36
_cell_angle_gamma 90.00
_space_group_name_H-M_alt 'C 1 2/c 1'
_space_group_IT_number 15
_space_group_name_Hall '-C 2yc'
loop_
_atom_site_label
_atom_site_type_symbol
_atom_site_fract_x
_atom_site_fract_y
_atom_site_fract_z
Pb1 Pb 0.000 0.145 0.250
Br1 Br 0.193 0.485 0.696
O1 O 0.000 0.186 0.750
O2 O 0.097 0.337 0.099
O3 O 0.137 0.049 0.630
O4 O 0.199 0.410 0.519
# Formation energy in meV per atom: -385.5
# Total magnetic moment in Bohr magnetons per cell: 8.00
# E in eV per atom: -4.07



# Pb3Br2O2, optimized geometry, DFT PBE
data_Pb3Br2O2
_cell_length_a 12.522
_cell_length_b 6.001
_cell_length_c 10.161
_cell_angle_alpha 90.00
_cell_angle_beta 90.00
_cell_angle_gamma 90.00
_space_group_name_H-M_alt 'P n m a'
_space_group_IT_number 62
_space_group_name_Hall '-P 2ac 2n'
loop_
_atom_site_label
_atom_site_type_symbol
_atom_site_fract_x
_atom_site_fract_y
_atom_site_fract_z
Pb1 Pb 0.058 0.250 0.216
Pb2 Pb 0.078 0.250 0.575
Pb3 Pb 0.208 0.750 0.363
Br1 Br 0.128 0.750 0.081
Br2 Br 0.190 0.750 0.696
O1 O 0.077 0.004 0.389
# Formation energy in meV per atom: -1310.0
# E in eV per atom: -4.59



# Pb9Br10O4, optimized geometry, DFT PBE
data_Pb9Br10O4
_cell_length_a 12.562
_cell_length_b 12.562
_cell_length_c 8.648
_cell_angle_alpha 90.00
_cell_angle_beta 90.00
_cell_angle_gamma 90.00
_space_group_name_H-M_alt 'P 4/n'
_space_group_IT_number 85
loop_
_space_group_symop_operation_xyz
'x,y,z'
'-x,-y,-z'
'-y+1/2,x,z'
'y+1/2,-x,-z'
'-x+1/2,-y+1/2,z'
'x+1/2,y+1/2,-z'
'y,-x+1/2,z'
'-y,x+1/2,-z'
loop_
_atom_site_label
_atom_site_type_symbol
_atom_site_fract_x
_atom_site_fract_y
_atom_site_fract_z
Pb1 Pb 0.010 0.674 0.194
Pb2 Pb 0.112 0.699 0.644
Pb3 Pb 0.250 0.250 0.200
Br1 Br 0.042 0.125 0.129
Br2 Br 0.062 0.129 0.592
Br3 Br 0.250 0.250 0.880
Br4 Br 0.250 0.750 0.000
O1 O 0.140 0.706 0.376
# Formation energy in meV per atom: -1156.6
# E in eV per atom: -4.06



# Pb3BrO3, optimized geometry, DFT PBE
data_Pb3BrO3
_cell_length_a 5.944
_cell_length_b 7.106
_cell_length_c 16.429
_cell_angle_alpha 90.00
_cell_angle_beta 90.00
_cell_angle_gamma 90.00
_space_group_name_H-M_alt 'P m c 21'
_space_group_IT_number 26
_space_group_name_Hall 'P 2c -2'
loop_
_atom_site_label
_atom_site_type_symbol
_atom_site_fract_x
_atom_site_fract_y
_atom_site_fract_z
Pb1 Pb 0.000 0.023 0.000
Pb2 Pb 0.000 0.175 0.244
Pb3 Pb 0.000 0.308 0.676
Pb4 Pb 0.500 0.025 0.645
Pb5 Pb 0.500 0.209 0.847
Pb6 Pb 0.500 0.312 0.473
Br1 Br 0.000 0.442 0.896
Br2 Br 0.500 0.358 0.171
O1 O 0.000 0.171 0.113
O2 O 0.257 0.086 0.741
O3 O 0.259 0.190 0.574
O4 O 0.500 0.017 0.434
# Formation energy in meV per atom: -1254.9
# Total magnetic moment in Bohr magnetons per cell: 0.00
# E in eV per atom: -4.91



# SbPbBrO2, optimized geometry, DFT PBE
data_SbPbBrO2
_cell_length_a 3.932
_cell_length_b 3.932
_cell_length_c 13.003
_cell_angle_alpha 90.00
_cell_angle_beta 90.00
_cell_angle_gamma 90.00
_space_group_name_H-M_alt 'I 4 m m'
_space_group_IT_number 107
_space_group_name_Hall 'I 4 -2'
loop_
_atom_site_label
_atom_site_type_symbol
_atom_site_fract_x
_atom_site_fract_y
_atom_site_fract_z
Sb1 Sb 0.000 0.000 0.000
Pb1 Pb 0.000 0.000 0.310
Br1 Br 0.000 0.000 0.669
O1 O 0.000 0.500 0.426
# Formation energy in meV per atom: -1453.8
# Total magnetic moment in Bohr magnetons per cell: 0.00
# E in eV per atom: -5.05



# SbPbBrO2, optimized geometry, DFT PBE
data_SbPbBrO2
_cell_length_a 5.757
_cell_length_b 12.923
_cell_length_c 5.570
_cell_angle_alpha 90.00
_cell_angle_beta 90.00
_cell_angle_gamma 90.00
_space_group_name_H-M_alt 'C m c m'
_space_group_IT_number 63
_space_group_name_Hall '-C 2c 2'
loop_
_atom_site_label
_atom_site_type_symbol
_atom_site_fract_x
_atom_site_fract_y
_atom_site_fract_z
Sb1 Sb 0.000 0.075 0.250
Pb1 Pb 0.000 0.388 0.250
Br1 Br 0.000 0.255 0.750
O1 O 0.225 0.000 0.000
# Formation energy in meV per atom: -1519.7
# Total magnetic moment in Bohr magnetons per cell: 0.00
# E in eV per atom: -5.12



# Pb3Se2Br2O6, optimized geometry, DFT PBE
data_Pb3Se2Br2O6
_cell_length_a 13.652
_cell_length_b 5.733
_cell_length_c 13.654
_cell_angle_alpha 90.00
_cell_angle_beta 93.51
_cell_angle_gamma 90.00
_space_group_name_H-M_alt 'C 1 2/c 1'
_space_group_IT_number 15
_space_group_name_Hall '-C 2yc'
loop_
_atom_site_label
_atom_site_type_symbol
_atom_site_fract_x
_atom_site_fract_y
_atom_site_fract_z
Pb1 Pb 0.000 0.054 0.250
Pb2 Pb 0.206 0.487 0.853
Se1 Se 0.106 0.497 0.618
Br1 Br 0.142 0.010 0.943
O1 O 0.014 0.457 0.365
O2 O 0.141 0.264 0.697
O3 O 0.156 0.276 0.195
# Formation energy in meV per atom: -1354.6
# Total magnetic moment in Bohr magnetons per cell: 0.02
# E in eV per atom: -4.97